An optimized crystal structure of Cs3PrF6, computed with meta-GGA r2SCAN.

a = 7.188 Å, b = 7.188 Å, c = 7.188 Å
α = 60.00°, β = 60.00°, γ = 60.00°
Fractional positions:
1 Cs 0.250 0.250 0.250
2 Cs 0.750 0.750 0.750
3 Cs 0.500 0.500 0.500
4 Pr 0.000 0.000 0.000
5 F 0.775 0.225 0.225
6 F 0.225 0.775 0.775
7 F 0.225 0.775 0.225
8 F 0.775 0.225 0.775
9 F 0.225 0.225 0.775
10 F 0.775 0.775 0.225

Values from the calculation:
- ΔH_f (0 K) (kJ/mol of formula units) = -3290